The following is a PBE calculation of a relaxed Sm2Au crystal, from Materials Project.

energy of formation = -578.4 meV/atom

Cell: 5.0262 7.2696 9.2216 Å, 90.00 90.00 90.00°
Closest atoms and distances in Å follow each position.
Sites, in units of the cell vectors:
Sm  0.2500  0.4898  0.1760  3 Au 3.03-3.20
Sm  0.7500  0.1516  0.0846  4 Au 2.97-3.11
Sm  0.2500  0.9898  0.3240  3 Au 3.03-3.20
Au  0.2500  0.2566  0.9032  7 Sm 2.97-3.20
Sm  0.7500  0.6516  0.4154  4 Au 2.97-3.11
Sm  0.2500  0.8484  0.9154  4 Au 2.97-3.11
Sm  0.7500  0.5102  0.8240  3 Au 3.03-3.20
Sm  0.7500  0.0102  0.6760  3 Au 3.03-3.20
Au  0.7500  0.2434  0.4032  7 Sm 2.97-3.20
Au  0.7500  0.7434  0.0968  7 Sm 2.97-3.20
Au  0.2500  0.7566  0.5968  7 Sm 2.97-3.20
Sm  0.2500  0.3484  0.5846  4 Au 2.97-3.11